(1)
The following is a DFT calculation (GGA+U) of a relaxed structure of Li3Mn8O16.

The size of the total moment is 27.00 μB per formula unit. The polymorph energy (0 for the lowest one) is 0 meV/atom. Its space group is Pmmn, No. 59. The raw total energy is -6.943 eV per atom.

abc: 5.972 8.197 12.062
angles: 90.00 90.00 90.00
Positions (direct):
Li: 0.000 0.628 0.243
Li: 0.000 0.870 0.500
Li: 0.000 0.628 0.757
Li: 0.500 0.130 0.000
Li: 0.500 0.372 0.257
Li: 0.500 0.372 0.743
O: 0.726 0.765 0.238
O: 0.774 0.235 0.738
O: 0.500 0.513 0.389
O: 0.763 0.268 0.000
O: 0.713 0.738 0.000
O: 0.000 0.019 0.146
O: 0.000 0.007 0.360
O: 0.500 0.993 0.140
O: 0.787 0.262 0.500
O: 0.226 0.235 0.738
O: 0.287 0.738 0.000
O: 0.500 0.993 0.860
O: 0.500 0.516 0.114
O: 0.726 0.765 0.762
O: 0.500 0.516 0.886
O: 0.500 0.981 0.646
O: 0.000 0.019 0.854
O: 0.274 0.765 0.238
O: 0.000 0.487 0.111
O: 0.213 0.262 0.500
O: 0.263 0.732 0.500
O: 0.000 0.487 0.889
O: 0.000 0.484 0.614
O: 0.500 0.513 0.611
O: 0.274 0.765 0.762
O: 0.237 0.268 0.000
O: 0.000 0.007 0.640
O: 0.774 0.235 0.262
O: 0.500 0.981 0.354
O: 0.737 0.732 0.500
O: 0.000 0.484 0.386
O: 0.226 0.235 0.262
Mn: 0.750 0.000 0.750
Mn: 0.250 0.000 0.750
Mn: 0.750 0.000 0.250
Mn: 0.500 0.748 0.626
Mn: 0.248 0.501 0.500
Mn: 0.000 0.252 0.126
Mn: 0.500 0.752 0.878
Mn: 0.000 0.248 0.622
Mn: 0.752 0.501 0.500
Mn: 0.000 0.248 0.378
Mn: 0.000 0.252 0.874
Mn: 0.500 0.752 0.122
Mn: 0.252 0.499 0.000
Mn: 0.500 0.748 0.374
Mn: 0.250 0.000 0.250
Mn: 0.748 0.499 0.000

(2)
The following is a DFT calculation (GGA+U) of a relaxed structure of LiMn3O6.

The polymorph energy (0 for the lowest one) is 61 meV/atom. Its space group is I4_1/amd, No. 141. The raw total energy is -6.914 eV per atom.

abc: 12.913 12.913 12.913
angles: 154.15 154.15 36.89
Positions (direct):
Li: 0.332 0.332 0.000
Li: 0.418 0.918 0.500
Li: 0.082 0.582 0.500
Li: 0.668 0.668 0.000
Mn: 0.375 0.125 0.250
Mn: 0.038 0.792 0.247
Mn: 0.875 0.125 0.750
Mn: 0.542 0.795 0.253
Mn: 0.542 0.288 0.747
Mn: 0.205 0.458 0.747
Mn: 0.875 0.625 0.750
Mn: 0.712 0.458 0.253
Mn: 0.545 0.792 0.753
Mn: 0.208 0.455 0.247
Mn: 0.208 0.962 0.753
Mn: 0.875 0.125 0.250
O: 0.103 0.379 0.724
O: 0.423 0.203 0.220
O: 0.314 0.537 0.777
O: 0.436 0.713 0.723
O: 0.990 0.713 0.277
O: 0.463 0.240 0.777
O: 0.327 0.047 0.280
O: 0.621 0.345 0.724
O: 0.129 0.905 0.776
O: 0.095 0.871 0.224
O: 0.129 0.353 0.224
O: 0.287 0.010 0.723
O: 0.621 0.897 0.276
O: 0.655 0.379 0.276
O: 0.767 0.047 0.720
O: 0.983 0.203 0.780
O: 0.287 0.564 0.277
O: 0.463 0.686 0.223
O: 0.797 0.017 0.220
O: 0.647 0.871 0.776
O: 0.953 0.673 0.720
O: 0.797 0.577 0.780
O: 0.953 0.233 0.280
O: 0.760 0.537 0.223

(3)
The following is a DFT calculation (GGA+U) of a relaxed structure of Li2MnO3.

The size of the total moment is 0.00 μB per formula unit. The raw total energy is -6.135 eV per atom.

abc: 2.895 7.808 10.149
angles: 69.58 90.00 79.33
Positions (direct):
Li: 0.667 0.667 0.167
Li: 0.827 0.347 0.587
Li: 0.506 0.987 0.247
Li: 0.167 0.667 0.917
Li: 0.506 0.987 0.747
Li: 0.167 0.667 0.417
Li: 0.667 0.667 0.667
Li: 0.827 0.347 0.087
O: 0.761 0.478 0.874
O: 0.572 0.856 0.460
O: 0.423 0.153 0.029
O: 0.572 0.855 0.960
O: 0.258 0.485 0.640
O: 0.075 0.849 0.193
O: 0.258 0.485 0.140
O: 0.761 0.478 0.374
O: 0.075 0.849 0.693
O: 0.910 0.180 0.804
O: 0.423 0.153 0.529
O: 0.910 0.180 0.304
Mn: 0.004 0.990 0.007
Mn: 0.004 0.991 0.507
Mn: 0.329 0.343 0.326
Mn: 0.329 0.342 0.827

(4)
The following is a DFT calculation (GGA+U) of a relaxed structure of Li3Mn3P4O16.

The size of the total moment is 12.00 μB per formula unit. The polymorph energy (0 for the lowest one) is 24 meV/atom. Its space group is C2, No. 5. The raw total energy is -7.051 eV per atom.

abc: 9.938 9.938 10.491
angles: 89.57 89.57 39.69
Positions (direct):
O: 0.413 0.416 0.360
O: 0.355 0.946 0.247
O: 0.303 0.999 0.543
O: 0.522 0.632 0.379
O: 0.583 0.588 0.140
O: 0.233 0.278 0.892
O: 0.368 0.478 0.621
O: 0.943 0.357 0.747
O: 0.215 0.822 0.222
O: 0.051 0.642 0.035
O: 0.697 0.002 0.959
O: 0.277 0.233 0.393
O: 0.722 0.767 0.108
O: 0.178 0.785 0.778
O: 0.998 0.303 0.041
O: 0.682 0.803 0.392
O: 0.767 0.723 0.607
O: 0.054 0.645 0.753
O: 0.802 0.682 0.893
O: 0.643 0.057 0.253
O: 0.476 0.370 0.121
O: 0.948 0.360 0.466
O: 0.584 0.587 0.640
O: 0.001 0.697 0.457
O: 0.779 0.184 0.276
O: 0.358 0.949 0.965
O: 0.816 0.221 0.724
O: 0.318 0.198 0.107
O: 0.640 0.052 0.534
O: 0.630 0.524 0.879
O: 0.197 0.318 0.608
O: 0.412 0.417 0.860
Li: 0.064 0.790 0.301
Li: 0.210 0.936 0.699
Li: 0.444 0.556 0.000
Li: 0.554 0.446 0.500
Li: 0.955 0.184 0.200
Li: 0.816 0.045 0.800
P: 0.827 0.780 0.000
P: 0.779 0.828 0.500
P: 0.255 0.584 0.753
P: 0.220 0.173 0.000
P: 0.172 0.221 0.500
P: 0.416 0.745 0.247
P: 0.582 0.257 0.252
P: 0.743 0.418 0.748
Mn: 0.499 0.001 0.250
Mn: 0.999 0.501 0.750
Mn: 0.321 0.366 0.497
Mn: 0.634 0.679 0.503
Mn: 0.679 0.634 0.003
Mn: 0.366 0.321 0.997